(1)
A plane-wave DFT calculation with r²SCAN was carried out for a relaxed Mn2S3 crystal.

Structure (POSCAR):
```
Mn2S3
1.0
-2.517 5.411 -2.740
-2.736 0.193 -5.966
-6.403 0.951 -1.102
S Mn
6 4
direct
0.250 0.561 0.939
0.939 0.250 0.561
0.750 0.439 0.061
0.561 0.939 0.250
0.439 0.061 0.750
0.061 0.750 0.439
0.845 0.845 0.845
0.655 0.655 0.655
0.345 0.345 0.345
0.155 0.155 0.155
```

Output
* V: 180.4 Å³ per cell
* space group: R-3c
* ΔE_f: -0.90 eV per atom

***

(2)
A plane-wave DFT calculation with r²SCAN was carried out for a relaxed MnS crystal.

Structure (POSCAR):
```
MnS
1.0
1.057 2.988 1.830
-4.210 -2.977 3.631
3.170 0.000 1.830
Mn S
2 2
direct
0.000 0.000 0.000
0.500 0.500 0.500
0.750 0.250 0.750
0.250 0.750 0.250
```

Output
* V: 68.9 Å³ per cell
* ΔE_f: -1.14 eV per atom

***

(3)
A plane-wave DFT calculation with r²SCAN was carried out for a relaxed Mn2SiS4 crystal.

Structure (POSCAR):
```
Mn2SiS4
1.0
-0.346 -4.898 -3.335
-2.028 -3.922 5.971
-12.192 2.544 -2.470
Mn S Si
8 16 4
direct
0.500 0.000 0.500
0.992 0.250 0.269
0.508 0.250 0.769
0.008 0.750 0.731
0.492 0.750 0.231
0.000 0.000 0.000
0.500 0.500 0.500
0.000 0.500 0.000
0.762 0.250 0.092
0.245 0.476 0.667
0.755 0.524 0.333
0.738 0.250 0.592
0.245 0.024 0.667
0.737 0.750 0.065
0.763 0.750 0.565
0.745 0.976 0.833
0.745 0.524 0.833
0.255 0.476 0.167
0.255 0.024 0.167
0.755 0.976 0.333
0.263 0.250 0.935
0.262 0.750 0.408
0.237 0.250 0.435
0.238 0.750 0.908
0.092 0.250 0.590
0.592 0.750 0.910
0.408 0.250 0.090
0.908 0.750 0.410
```

Output
* V: 559.7 Å³ per cell
* space group: Pnma
* ΔE_f: -0.98 eV per atom

***

(4)
A plane-wave DFT calculation with r²SCAN was carried out for a relaxed Y4MnS7 crystal.

Structure (POSCAR):
```
Y4MnS7
1.0
1.903 6.278 0.006
-1.903 6.278 0.006
0.000 2.986 11.066
Mn Y S
1 4 7
direct
0.885 0.885 0.422
0.307 0.307 0.801
0.114 0.114 0.567
0.692 0.692 0.205
0.000 0.000 0.006
0.962 0.962 0.785
0.744 0.744 0.640
0.495 0.495 0.496
0.268 0.268 0.353
0.660 0.660 0.948
0.035 0.035 0.225
0.339 0.339 0.052
```

Output
* V: 264.3 Å³ per cell
* space group: Cm
* ΔE_f: -2.16 eV per atom

***

(5)
A plane-wave DFT calculation with r²SCAN was carried out for a relaxed Yb4MnS7 crystal.

Structure (POSCAR):
```
Yb4MnS7
1.0
1.861 6.171 -0.045
-1.861 6.171 -0.045
0.000 2.962 10.910
Yb S Mn
4 7 1
direct
0.113 0.113 0.569
0.307 0.307 0.801
0.001 0.001 0.005
0.695 0.695 0.201
0.660 0.660 0.948
0.493 0.493 0.502
0.037 0.037 0.222
0.264 0.264 0.354
0.341 0.341 0.051
0.962 0.962 0.786
0.742 0.742 0.642
0.885 0.885 0.421
```

Output
* V: 251.0 Å³ per cell
* space group: Cm
* ΔE_f: -2.14 eV per atom

***

(6)
A plane-wave DFT calculation with r²SCAN was carried out for a relaxed MnZnS2 crystal.

Structure (POSCAR):
```
MnZnS2
1.0
1.944 -3.367 0.000
1.944 3.367 0.000
0.000 0.000 6.386
S Mn Zn
2 1 1
direct
0.667 0.333 0.118
0.333 0.667 0.634
0.667 0.333 0.497
0.333 0.667 0.000
```

Output
* V: 83.6 Å³ per cell
* space group: P3m1
* ΔE_f: -1.02 eV per atom

***

(7)
A plane-wave DFT calculation with r²SCAN was carried out for a relaxed Ti5MnSb2 crystal.

Structure (POSCAR):
```
Ti5MnSb2
1.0
0.002 0.000 5.170
-5.236 5.237 2.583
-5.236 -5.237 2.583
Ti Sb Mn
10 4 2
direct
0.750 0.500 0.500
0.428 0.279 0.866
0.072 0.134 0.721
0.706 0.866 0.721
0.250 0.500 0.500
0.294 0.134 0.279
0.206 0.721 0.866
0.794 0.279 0.134
0.572 0.721 0.134
0.928 0.866 0.279
0.663 0.174 0.500
0.163 0.500 0.174
0.337 0.826 0.500
0.837 0.500 0.826
0.250 0.000 0.000
0.750 0.000 0.000
```

Output
* V: 283.6 Å³ per cell
* space group: I4/mcm
* ΔE_f: -0.45 eV per atom

***

(8)
A plane-wave DFT calculation with r²SCAN was carried out for a relaxed YbMn2Sb2 crystal.

Structure (POSCAR):
```
YbMn2Sb2
1.0
2.718 0.299 3.460
-4.277 -0.876 0.625
1.389 -7.123 -0.475
Yb Mn Sb
1 2 2
direct
0.000 0.000 0.000
0.333 0.667 0.623
0.667 0.333 0.377
0.667 0.333 0.763
0.333 0.667 0.237
```

Output
* V: 122.5 Å³ per cell
* space group: P-3m1
* ΔE_f: -0.52 eV per atom

***

(9)
A plane-wave DFT calculation with r²SCAN was carried out for a relaxed ScMn2 crystal.

Structure (POSCAR):
```
ScMn2
1.0
5.342 0.000 0.000
-2.671 4.627 0.000
0.000 0.000 8.235
Mn Sc
8 4
direct
0.829 0.658 0.250
0.829 0.171 0.250
0.000 0.000 0.500
0.171 0.829 0.750
0.171 0.342 0.750
0.000 0.000 0.000
0.658 0.829 0.750
0.342 0.171 0.250
0.667 0.333 0.566
0.333 0.667 0.066
0.667 0.333 0.934
0.333 0.667 0.434
```

Output
* V: 203.5 Å³ per cell
* space group: P6_3/mmc
* ΔE_f: -0.17 eV per atom

***

(10)
A plane-wave DFT calculation with r²SCAN was carried out for a relaxed Sc2MnSe4 crystal.

Structure (POSCAR):
```
Sc2MnSe4
1.0
4.196 -5.849 -3.175
2.483 -5.955 4.503
-3.196 -7.143 -0.811
Se Sc Mn
8 4 2
direct
0.356 0.881 0.881
0.881 0.881 0.881
0.369 0.369 0.369
0.881 0.881 0.356
0.369 0.369 0.894
0.894 0.369 0.369
0.369 0.894 0.369
0.881 0.356 0.881
0.125 0.625 0.125
0.125 0.125 0.125
0.125 0.125 0.625
0.625 0.125 0.125
0.750 0.750 0.750
0.500 0.500 0.500
```

Output
* V: 344.4 Å³ per cell
* space group: Fd-3m
* ΔE_f: -1.70 eV per atom